Entry from Materials Project: a relaxed structure of Mg14GaCo (PBE).

Results
Space-group type: P-6m2, No. 187
Crystal system: hexagonal
Relative energy among the computed polymorphs: 0.000 eV per atom
DFT total energy: -0.073 Ha/atom
Volume: 21.1 Å³ per atom

a = 6.259 Å, b = 6.259 Å, c = 9.969 Å
α = 90.00°, β = 90.00°, γ = 120.00°
Fractional positions:
Mg  0.668  0.832  0.125
Mg  0.833  0.667  0.874
Ga  0.167  0.333  0.625
Mg  0.164  0.832  0.125
Mg  0.850  0.175  0.885
Mg  0.325  0.175  0.885
Mg  0.833  0.667  0.376
Mg  0.668  0.336  0.125
Mg  0.325  0.650  0.885
Mg  0.325  0.175  0.365
Mg  0.325  0.650  0.365
Mg  0.169  0.834  0.625
Mg  0.666  0.834  0.625
Mg  0.666  0.331  0.625
Mg  0.850  0.175  0.365
Co  0.167  0.333  0.125


Entry from Materials Project: a relaxed structure of Mg54Ag17 (PBE).

Results
Space-group type: Immm, No. 71
Crystal system: orthorhombic
DFT total energy: -0.075 Ha/atom
Volume: 20.9 Å³ per atom

a = 12.444 Å, b = 12.444 Å, c = 12.444 Å
α = 107.64°, β = 110.19°, γ = 110.61°
Fractional positions:
Mg  0.567  0.675  0.892
Mg  0.114  0.114  0.000
Ag  0.000  0.831  0.831
Mg  0.306  0.014  0.935
Mg  0.679  0.603  0.282
Mg  0.079  0.014  0.707
Mg  0.817  0.098  0.915
Mg  0.437  0.904  0.104
Mg  0.200  0.667  0.104
Ag  0.701  0.368  0.667
Mg  0.886  0.886  0.000
Ag  0.625  0.832  0.792
Mg  0.621  0.203  0.201
Mg  0.520  0.127  0.394
Mg  0.002  0.203  0.582
Mg  0.217  0.325  0.892
Mg  0.389  0.558  0.169
Mg  0.621  0.420  0.418
Mg  0.379  0.580  0.582
Mg  0.679  0.397  0.076
Mg  0.998  0.580  0.201
Ag  0.833  0.710  0.542
Mg  0.183  0.902  0.085
Mg  0.563  0.096  0.896
Mg  0.079  0.372  0.065
Mg  0.611  0.442  0.831
Ag  0.000  0.169  0.169
Mg  0.267  0.873  0.394
Mg  0.500  0.145  0.645
Mg  0.998  0.797  0.418
Mg  0.433  0.325  0.108
Mg  0.885  0.500  0.385
Mg  0.563  0.667  0.467
Ag  0.375  0.168  0.208
Mg  0.898  0.562  0.664
Mg  0.611  0.780  0.169
Mg  0.321  0.603  0.924
Mg  0.437  0.333  0.533
Mg  0.800  0.904  0.467
Mg  0.002  0.420  0.799
Mg  0.183  0.098  0.282
Mg  0.921  0.986  0.293
Mg  0.102  0.438  0.336
Mg  0.480  0.873  0.606
Ag  0.040  0.832  0.208
Mg  0.733  0.127  0.606
Ag  0.833  0.290  0.123
Ag  0.500  0.500  0.000
Ag  0.960  0.168  0.792
Ag  0.167  0.290  0.458
Mg  0.306  0.372  0.293
Ag  0.167  0.710  0.877
Mg  0.115  0.500  0.615
Ag  0.811  0.311  0.500
Mg  0.783  0.675  0.108
Ag  0.299  0.966  0.667
Mg  0.921  0.628  0.935
Ag  0.299  0.632  0.333
Mg  0.102  0.767  0.664
Mg  0.500  0.855  0.355
Mg  0.321  0.397  0.718
Ag  0.189  0.689  0.500
Mg  0.200  0.096  0.533
Mg  0.389  0.220  0.831
Mg  0.817  0.902  0.718
Ag  0.701  0.034  0.333
Mg  0.694  0.986  0.065
Mg  0.379  0.797  0.799
Mg  0.898  0.233  0.336
Mg  0.694  0.628  0.707
Mg  0.800  0.333  0.896


Entry from Materials Project: a relaxed structure of Hf2Mn (PBE).

Results
Space-group type: Fd-3m, No. 227
Crystal system: cubic
DFT total energy: -0.360 Ha/atom
Volume: 18.0 Å³ per atom

a = 8.488 Å, b = 8.488 Å, c = 8.488 Å
α = 60.00°, β = 60.00°, γ = 60.00°
Fractional positions:
Hf  0.625  0.625  0.625
Hf  0.625  0.625  0.125
Mn  0.835  0.835  0.835
Hf  0.811  0.189  0.189
Hf  0.811  0.189  0.811
Hf  0.189  0.811  0.189
Hf  0.061  0.061  0.439
Hf  0.811  0.811  0.189
Mn  0.415  0.415  0.756
Hf  0.439  0.061  0.439
Hf  0.125  0.625  0.625
Hf  0.061  0.439  0.439
Hf  0.439  0.061  0.061
Mn  0.835  0.494  0.835
Hf  0.061  0.439  0.061
Mn  0.835  0.835  0.494
Mn  0.415  0.756  0.415
Mn  0.415  0.415  0.415
Mn  0.494  0.835  0.835
Hf  0.439  0.439  0.061
Mn  0.756  0.415  0.415
Hf  0.625  0.125  0.625
Hf  0.189  0.189  0.811
Hf  0.189  0.811  0.811


Entry from Materials Project: a relaxed structure of Na3Cu2SbO6 (PBE).

Results
Space-group type: C2/m, No. 12
Crystal system: monoclinic
DFT total energy: -0.187 Ha/atom
Volume: 11.8 Å³ per atom

a = 5.352 Å, b = 5.352 Å, c = 5.955 Å
α = 76.64°, β = 76.64°, γ = 113.37°
Fractional positions:
O  0.032  0.361  0.774
O  0.254  0.254  0.168
O  0.639  0.968  0.226
Sb  0.000  0.000  0.000
Na  0.827  0.173  0.500
Na  0.173  0.827  0.500
O  0.746  0.746  0.832
Na  0.500  0.500  0.500
O  0.361  0.032  0.774
Cu  0.667  0.333  0.000
Cu  0.333  0.667  0.000
O  0.968  0.639  0.226


Entry from Materials Project: a relaxed structure of LiAg2F4 (PBE).

Results
Space-group type: I-4, No. 82
Crystal system: tetragonal
Relative energy among the computed polymorphs: 0.090 eV per atom
DFT total energy: -0.135 Ha/atom
Volume: 19.2 Å³ per atom

a = 6.186 Å, b = 6.186 Å, c = 6.186 Å
α = 130.31°, β = 130.31°, γ = 72.92°
Fractional positions:
F  0.275  0.352  0.455
Ag  0.250  0.750  0.500
F  0.180  0.725  0.076
Ag  0.500  0.500  0.000
Li  0.000  0.000  0.000
F  0.648  0.104  0.924
F  0.896  0.820  0.545


Entry from Materials Project: a relaxed structure of K2TmPCO7 (PBE).

Results
Space-group type: P2_1/m, No. 11
Crystal system: monoclinic
DFT total energy: -0.260 Ha/atom
Volume: 17.1 Å³ per atom

a = 7.073 Å, b = 5.822 Å, c = 9.951 Å
α = 88.22°, β = 90.00°, γ = 90.00°
Fractional positions:
C  0.750  0.729  0.906
Tm  0.250  0.221  0.366
K  0.013  0.247  0.776
K  0.513  0.753  0.224
P  0.750  0.288  0.431
P  0.250  0.712  0.569
O  0.568  0.234  0.351
O  0.250  0.302  0.969
O  0.750  0.555  0.822
O  0.250  0.859  0.434
O  0.068  0.766  0.649
O  0.932  0.234  0.351
O  0.750  0.141  0.566
O  0.432  0.766  0.649
C  0.250  0.271  0.094
O  0.250  0.067  0.155
K  0.487  0.247  0.776
O  0.750  0.549  0.465
O  0.250  0.445  0.178
Tm  0.750  0.779  0.634
O  0.250  0.451  0.535
K  0.987  0.753  0.224
O  0.750  0.698  0.031
O  0.750  0.933  0.845


Entry from Materials Project: a relaxed structure of CeAgSb2 (PBE).

Results
Space-group type: P4/nmm, No. 129
Crystal system: tetragonal
DFT total energy: -0.181 Ha/atom
Volume: 25.5 Å³ per atom

a = 4.410 Å, b = 4.410 Å, c = 10.497 Å
α = 90.00°, β = 90.00°, γ = 90.00°
Fractional positions:
Ce  0.000  0.500  0.765
Sb  0.500  0.500  0.000
Sb  0.000  0.500  0.318
Ag  0.000  0.000  0.500
Ce  0.500  0.000  0.235
Sb  0.500  0.000  0.682
Ag  0.500  0.500  0.500
Sb  0.000  0.000  0.000


Entry from Materials Project: a relaxed structure of MgZnH12C4O12 (PBE).

Results
Space-group type: P2_1/c, No. 14
Crystal system: monoclinic
DFT total energy: -0.213 Ha/atom
Volume: 10.0 Å³ per atom

a = 7.288 Å, b = 8.782 Å, c = 9.439 Å
α = 82.43°, β = 90.00°, γ = 90.00°
Fractional positions:
Mg  0.000  0.500  0.500
H  0.354  0.029  0.224
Zn  0.000  0.000  0.000
H  0.096  0.736  0.952
C  0.622  0.178  0.940
C  0.227  0.462  0.774
O  0.274  0.934  0.077
H  0.098  0.196  0.765
O  0.392  0.401  0.201
C  0.378  0.822  0.060
H  0.519  0.826  0.104
H  0.617  0.717  0.490
Zn  0.500  0.000  0.500
H  0.854  0.971  0.276
O  0.528  0.781  0.430
H  0.481  0.174  0.896
O  0.722  0.592  0.101
O  0.895  0.914  0.198
O  0.778  0.592  0.601
H  0.209  0.570  0.224
O  0.666  0.295  0.000
C  0.122  0.822  0.560
O  0.834  0.295  0.500
H  0.598  0.804  0.735
H  0.383  0.283  0.510
O  0.028  0.219  0.070
H  0.709  0.430  0.276
O  0.395  0.086  0.302
O  0.605  0.914  0.698
O  0.892  0.599  0.299
Mg  0.500  0.500  0.000
H  0.883  0.717  0.990
O  0.226  0.934  0.577
O  0.278  0.408  0.899
H  0.404  0.736  0.452
H  0.596  0.264  0.548
H  0.981  0.826  0.604
H  0.117  0.283  0.010
H  0.902  0.804  0.235
H  0.402  0.196  0.265
O  0.334  0.705  0.000
O  0.972  0.781  0.930
O  0.108  0.401  0.701
O  0.726  0.066  0.923
H  0.904  0.264  0.048
C  0.727  0.538  0.726
H  0.791  0.430  0.776
O  0.166  0.705  0.500
O  0.222  0.408  0.399
O  0.774  0.066  0.423
O  0.608  0.599  0.799
O  0.472  0.219  0.570
H  0.019  0.174  0.396
H  0.291  0.570  0.724
C  0.273  0.462  0.274
C  0.773  0.538  0.226
H  0.146  0.029  0.724
C  0.878  0.178  0.440
H  0.646  0.971  0.776
O  0.105  0.086  0.802


| no. | ΔE_f (meV/atom) |
| --- | --- |
| 1 | 42.8 |
| 2 | -135.2 |
| 3 | -106.0 |
| 4 | -1595.3 |
| 5 | -1753.9 |
| 6 | -2804.0 |
| 7 | -759.5 |
| 8 | -1402.7 |